Entry 1:
DFT (PBE+U) results for a relaxed structure of CoF3.

Cell: 5.281 5.281 5.281 Å, 59.12 59.12 59.12°
Fractional positions:
Co 0.000 0.000 0.000
Co 0.500 0.500 0.500
F 0.144 0.750 0.356
F 0.250 0.644 0.856
F 0.356 0.144 0.750
F 0.644 0.856 0.250
F 0.750 0.356 0.144
F 0.856 0.250 0.644

mass density	3772	kg/m³
volume	102.1	Å³ per cell

Entry 2:
DFT (PBE+U) results for a relaxed structure of Fe2O3.

Cell: 8.648 10.375 10.935 Å, 89.31 86.18 88.15°
Fractional positions:
Fe 0.000 0.000 0.000
Fe 0.001 0.707 0.489
Fe 0.069 0.110 0.233
Fe 0.115 0.452 0.284
Fe 0.116 0.127 0.774
Fe 0.117 0.737 0.735
Fe 0.130 0.778 0.232
Fe 0.179 0.064 0.471
Fe 0.188 0.240 0.013
Fe 0.246 0.574 0.998
Fe 0.289 0.493 0.510
Fe 0.349 0.872 0.855
Fe 0.401 0.275 0.244
Fe 0.414 0.950 0.318
Fe 0.416 0.627 0.314
Fe 0.468 0.181 0.562
Fe 0.475 0.803 0.566
Fe 0.491 0.281 0.888
Fe 0.519 0.847 0.068
Fe 0.582 0.569 0.875
Fe 0.612 0.483 0.604
Fe 0.656 0.146 0.098
Fe 0.693 0.013 0.800
Fe 0.730 0.743 0.279
Fe 0.739 0.441 0.190
Fe 0.760 0.732 0.690
Fe 0.779 0.994 0.345
Fe 0.780 0.258 0.738
Fe 0.801 0.258 0.403
Fe 0.881 0.753 0.983
Fe 0.950 0.478 0.901
Fe 0.969 0.450 0.593
O 0.007 0.181 0.937
O 0.029 0.831 0.085
O 0.075 0.647 0.893
O 0.115 0.394 0.464
O 0.127 0.414 0.981
O 0.128 0.585 0.622
O 0.144 0.594 0.159
O 0.144 0.948 0.847
O 0.169 0.282 0.202
O 0.172 0.651 0.379
O 0.175 0.957 0.301
O 0.185 0.069 0.078
O 0.243 0.139 0.617
O 0.295 0.215 0.854
O 0.320 0.789 0.705
O 0.329 0.916 0.489
O 0.353 0.449 0.309
O 0.358 0.144 0.374
O 0.380 0.782 0.215
O 0.403 0.721 0.960
O 0.429 0.466 0.957
O 0.444 0.235 0.072
O 0.447 0.371 0.562
O 0.449 0.628 0.490
O 0.514 0.955 0.919
O 0.555 0.997 0.175
O 0.563 0.634 0.703
O 0.578 0.160 0.713
O 0.604 0.852 0.390
O 0.629 0.405 0.779
O 0.633 0.884 0.670
O 0.636 0.580 0.282
O 0.642 0.280 0.237
O 0.652 0.131 0.452
O 0.690 0.181 0.921
O 0.707 0.754 0.105
O 0.783 0.346 0.562
O 0.784 0.475 0.024
O 0.787 0.653 0.851
O 0.823 0.600 0.553
O 0.832 0.918 0.914
O 0.863 0.074 0.171
O 0.896 0.403 0.300
O 0.900 0.101 0.721
O 0.919 0.798 0.344
O 0.958 0.377 0.755
O 0.964 0.811 0.634
O 0.975 0.127 0.404

mass density	4336	kg/m³
volume	978.4	Å³ per cell

Entry 3:
DFT (PBE+U) results for a relaxed structure of Sr8Fe2Ru2O13.

Cell: 8.757 8.757 5.448 Å, 106.30 106.30 94.99°
Fractional positions:
Sr 0.020 0.732 0.631
Sr 0.224 0.526 0.131
Sr 0.268 0.980 0.369
Sr 0.474 0.776 0.869
Sr 0.526 0.224 0.131
Sr 0.732 0.020 0.631
Sr 0.776 0.474 0.869
Sr 0.980 0.268 0.369
Fe 0.127 0.127 0.875
Fe 0.873 0.873 0.125
Ru 0.380 0.380 0.636
Ru 0.620 0.620 0.364
O 0.000 0.000 0.000
O 0.000 0.000 0.500
O 0.019 0.705 0.138
O 0.216 0.536 0.625
O 0.264 0.264 0.247
O 0.295 0.981 0.862
O 0.464 0.784 0.375
O 0.500 0.500 0.000
O 0.536 0.216 0.625
O 0.705 0.019 0.138
O 0.736 0.736 0.753
O 0.784 0.464 0.375
O 0.981 0.295 0.862

mass density	5363	kg/m³
volume	378.6	Å³ per cell

Entry 4:
DFT (PBE+U) results for a relaxed structure of NaMo3P2O14.

Cell: 8.689 6.485 10.736 Å, 90.00 111.59 90.00°
Fractional positions:
Na 0.010 0.250 0.245
Na 0.990 0.750 0.755
Mo 0.251 0.750 0.170
Mo 0.264 0.750 0.493
Mo 0.334 0.250 0.877
Mo 0.666 0.750 0.123
Mo 0.736 0.250 0.507
Mo 0.749 0.250 0.830
P 0.351 0.250 0.563
P 0.384 0.250 0.199
P 0.616 0.750 0.801
P 0.649 0.750 0.437
O 0.083 0.750 0.023
O 0.109 0.750 0.555
O 0.145 0.750 0.295
O 0.216 0.032 0.867
O 0.216 0.468 0.867
O 0.271 0.062 0.190
O 0.271 0.438 0.190
O 0.279 0.062 0.472
O 0.279 0.438 0.472
O 0.289 0.250 0.680
O 0.432 0.750 0.113
O 0.446 0.250 0.081
O 0.458 0.750 0.385
O 0.466 0.750 0.670
O 0.534 0.250 0.330
O 0.542 0.250 0.615
O 0.554 0.750 0.919
O 0.568 0.250 0.887
O 0.711 0.750 0.320
O 0.721 0.562 0.528
O 0.721 0.938 0.528
O 0.729 0.562 0.810
O 0.729 0.938 0.810
O 0.784 0.532 0.133
O 0.784 0.968 0.133
O 0.855 0.250 0.705
O 0.891 0.250 0.445
O 0.917 0.250 0.977

mass density	3523	kg/m³
volume	562.5	Å³ per cell

Entry 5:
DFT (PBE+U) results for a relaxed structure of WNO.

Cell: 5.124 5.124 5.124 Å, 36.34 36.34 36.34°
Fractional positions:
W 0.000 0.000 0.000
N 0.725 0.725 0.725
O 0.259 0.259 0.259

mass density	8399	kg/m³
volume	42.3	Å³ per cell

Entry 6:
DFT (PBE+U) results for a relaxed structure of Li4MnCo5O12.

Cell: 4.954 4.954 10.015 Å, 90.67 90.67 118.95°
Fractional positions:
Li 0.152 0.661 0.752
Li 0.339 0.848 0.248
Li 0.661 0.152 0.752
Li 0.848 0.339 0.248
Mn 0.500 0.500 0.000
Co 0.000 0.000 0.500
Co 0.165 0.835 0.000
Co 0.337 0.663 0.500
Co 0.663 0.337 0.500
Co 0.835 0.165 0.000
O 0.009 0.685 0.393
O 0.164 0.164 0.902
O 0.168 0.507 0.103
O 0.314 0.314 0.399
O 0.315 0.991 0.607
O 0.493 0.832 0.897
O 0.507 0.168 0.103
O 0.685 0.009 0.393
O 0.686 0.686 0.601
O 0.832 0.493 0.897
O 0.836 0.836 0.098
O 0.991 0.315 0.607

mass density	4396	kg/m³
volume	215.0	Å³ per cell

Entry 7:
DFT (PBE+U) results for a relaxed structure of Li9Mn2Co5O16.

Cell: 5.885 6.579 8.756 Å, 82.49 70.43 64.23°
Fractional positions:
Li 0.000 0.000 0.000
Li 0.241 0.246 0.758
Li 0.244 0.753 0.247
Li 0.248 0.497 0.002
Li 0.254 0.994 0.498
Li 0.746 0.006 0.502
Li 0.752 0.503 0.998
Li 0.756 0.247 0.753
Li 0.759 0.754 0.242
Mn 0.500 0.000 0.000
Mn 0.500 0.500 0.500
Co 0.000 0.240 0.245
Co 0.000 0.500 0.500
Co 0.000 0.760 0.755
Co 0.488 0.754 0.757
Co 0.512 0.246 0.243
O 0.119 0.484 0.264
O 0.127 0.983 0.745
O 0.150 0.234 0.005
O 0.150 0.729 0.500
O 0.374 0.511 0.736
O 0.378 0.008 0.236
O 0.380 0.268 0.490
O 0.390 0.761 0.987
O 0.610 0.239 0.013
O 0.620 0.732 0.510
O 0.622 0.992 0.764
O 0.626 0.489 0.264
O 0.850 0.271 0.500
O 0.850 0.766 0.995
O 0.873 0.017 0.255
O 0.881 0.516 0.736

mass density	4175	kg/m³
volume	287.6	Å³ per cell
excess energy over the best structure of this formula in the dataset	0.026	eV/atom

Entry 8:
DFT (PBE+U) results for a relaxed structure of BaMo2Se2O11.

Cell: 9.021 9.021 7.990 Å, 90.00 90.00 53.62°
Fractional positions:
Ba 0.231 0.769 0.500
Ba 0.769 0.231 0.000
Mo 0.157 0.626 0.008
Mo 0.374 0.843 0.008
Mo 0.626 0.157 0.508
Mo 0.843 0.374 0.508
Se 0.123 0.292 0.858
Se 0.292 0.123 0.358
Se 0.708 0.877 0.858
Se 0.877 0.708 0.358
O 0.045 0.485 0.986
O 0.086 0.633 0.272
O 0.135 0.149 0.008
O 0.149 0.135 0.508
O 0.155 0.667 0.794
O 0.186 0.814 0.085
O 0.333 0.845 0.794
O 0.367 0.914 0.272
O 0.385 0.434 0.039
O 0.434 0.385 0.539
O 0.485 0.045 0.486
O 0.515 0.955 0.986
O 0.566 0.615 0.039
O 0.615 0.566 0.539
O 0.633 0.086 0.772
O 0.667 0.155 0.294
O 0.814 0.186 0.585
O 0.845 0.333 0.294
O 0.851 0.865 0.008
O 0.865 0.851 0.508
O 0.914 0.367 0.772
O 0.955 0.515 0.486

mass density	4207	kg/m³
volume	523.5	Å³ per cell

Entry 9:
DFT (PBE+U) results for a relaxed structure of BaTe2Mo2H2O12.

Cell: 7.518 7.743 19.126 Å, 90.00 90.00 90.00°
Fractional positions:
Ba 0.247 0.158 0.056
Ba 0.253 0.842 0.556
Ba 0.747 0.342 0.944
Ba 0.753 0.658 0.444
Te 0.010 0.116 0.397
Te 0.161 0.586 0.738
Te 0.339 0.414 0.238
Te 0.490 0.884 0.897
Te 0.510 0.384 0.603
Te 0.661 0.914 0.262
Te 0.839 0.086 0.762
Te 0.990 0.616 0.103
Mo 0.030 0.362 0.593
Mo 0.227 0.940 0.242
Mo 0.273 0.060 0.742
Mo 0.470 0.638 0.093
Mo 0.530 0.138 0.407
Mo 0.727 0.560 0.758
Mo 0.773 0.440 0.258
Mo 0.970 0.862 0.907
H 0.127 0.515 0.905
H 0.222 0.594 0.434
H 0.278 0.406 0.934
H 0.373 0.485 0.405
H 0.627 0.985 0.095
H 0.722 0.906 0.566
H 0.778 0.094 0.066
H 0.873 0.015 0.595
O 0.025 0.522 0.525
O 0.041 0.998 0.816
O 0.049 0.143 0.699
O 0.056 0.899 0.434
O 0.096 0.938 0.165
O 0.100 0.100 0.302
O 0.150 0.403 0.927
O 0.157 0.191 0.557
O 0.166 0.753 0.285
O 0.170 0.801 0.694
O 0.194 0.777 0.907
O 0.235 0.540 0.140
O 0.265 0.460 0.640
O 0.306 0.223 0.407
O 0.330 0.199 0.194
O 0.334 0.247 0.785
O 0.343 0.809 0.057
O 0.350 0.597 0.427
O 0.400 0.900 0.802
O 0.404 0.062 0.665
O 0.444 0.101 0.934
O 0.451 0.857 0.199
O 0.459 0.002 0.316
O 0.475 0.478 0.025
O 0.525 0.978 0.475
O 0.541 0.502 0.184
O 0.549 0.357 0.301
O 0.556 0.601 0.566
O 0.596 0.562 0.835
O 0.600 0.400 0.698
O 0.650 0.097 0.073
O 0.657 0.309 0.443
O 0.666 0.747 0.715
O 0.670 0.699 0.306
O 0.694 0.723 0.093
O 0.735 0.960 0.860
O 0.765 0.040 0.360
O 0.806 0.277 0.593
O 0.830 0.301 0.806
O 0.834 0.253 0.215
O 0.843 0.691 0.943
O 0.850 0.903 0.573
O 0.900 0.600 0.198
O 0.904 0.438 0.335
O 0.944 0.399 0.066
O 0.951 0.643 0.801
O 0.959 0.498 0.684
O 0.975 0.022 0.975

mass density	4644	kg/m³
volume	1113.4	Å³ per cell
excess energy over the best structure of this formula in the dataset	0.027	eV/atom

Entry 10:
DFT (PBE+U) results for a relaxed structure of V2CrO7.

Cell: 8.636 8.636 8.636 Å, 90.00 90.00 90.00°
Fractional positions:
V 0.119 0.119 0.119
V 0.119 0.381 0.619
V 0.381 0.619 0.119
V 0.381 0.881 0.619
V 0.619 0.119 0.381
V 0.619 0.381 0.881
V 0.881 0.619 0.381
V 0.881 0.881 0.881
Cr 0.000 0.000 0.500
Cr 0.000 0.500 0.000
Cr 0.500 0.000 0.000
Cr 0.500 0.500 0.500
O 0.000 0.000 0.000
O 0.000 0.500 0.500
O 0.062 0.192 0.593
O 0.062 0.308 0.093
O 0.093 0.062 0.308
O 0.093 0.438 0.808
O 0.192 0.593 0.062
O 0.192 0.907 0.562
O 0.308 0.093 0.062
O 0.308 0.407 0.562
O 0.407 0.562 0.308
O 0.407 0.938 0.808
O 0.438 0.692 0.593
O 0.438 0.808 0.093
O 0.500 0.000 0.500
O 0.500 0.500 0.000
O 0.562 0.192 0.907
O 0.562 0.308 0.407
O 0.593 0.062 0.192
O 0.593 0.438 0.692
O 0.692 0.593 0.438
O 0.692 0.907 0.938
O 0.808 0.093 0.438
O 0.808 0.407 0.938
O 0.907 0.562 0.192
O 0.907 0.938 0.692
O 0.938 0.692 0.907
O 0.938 0.808 0.407

mass density	2742	kg/m³
volume	644.0	Å³ per cell

Listing energy of formation from the pure elements for the structures above in their given order: -2.10 -1.43 -2.46 -2.26 -0.46 -1.73 -1.84 -1.94 -1.88 -2.20 eV/atom.